Entry from the Materials Project: RbAg5S3 after structural relaxation (PBE).

MP2020-corrected energy: -191.0 eV/cell

```
data_RbAg5S3
_cell_length_a 13.7124
_cell_length_b 13.7124
_cell_length_c 8.1591
_cell_angle_alpha 90.00
_cell_angle_beta 90.00
_cell_angle_gamma 120.00
_symmetry_space_group_name_H-M 'P -6 2 c'
_symmetry_Int_Tables_number 190
_symmetry_space_group_name_Hall 'P -6c -2c'
loop_
_atom_site_label
_atom_site_type_symbol
_atom_site_fract_x
_atom_site_fract_y
_atom_site_fract_z
Rb1 Rb 0.0000 0.0000 0.0000
Rb2 Rb 0.3333 0.6667 0.0010
Ag1 Ag 0.0000 0.5366 0.0000
Ag2 Ag 0.0030 0.3690 0.7500
Ag3 Ag 0.0052 0.7085 0.7500
Ag4 Ag 0.1483 0.3327 0.0006
S1 S 0.0878 0.2251 0.2500
S2 S 0.1076 0.5789 0.2500
S3 S 0.2187 0.7801 0.7500
```